1.
{
  "formula": "Ce3Sn13Ir4",
  "functional": "GGA-PBE",
  "state": "optimized geometry",
  "spacegroup": "Pm-3n (223)",
  "total_magnetization_mub_per_fu": 1.81,
  "volume_a3_per_atom": 23.6,
  "delta_e_f_mev_per_atom": -497.4,
  "lattice": [[-1.893, 8.925, 3.608], [-8.723, -3.146, 3.205], [4.072, -2.589, 8.542]],
  "species": ["Ir", "Ir", "Ir", "Ir", "Ir", "Ir", "Ir", "Ir", "Sn", "Sn", "Sn", "Sn", "Sn", "Sn", "Sn", "Sn", "Sn", "Sn", "Sn", "Sn", "Sn", "Sn", "Sn", "Sn", "Sn", "Sn", "Sn", "Sn", "Sn", "Sn", "Sn", "Sn", "Sn", "Sn", "Ce", "Ce", "Ce", "Ce", "Ce", "Ce"],
  "frac_coords": [[0.750, 0.250, 0.750], [0.750, 0.750, 0.250], [0.750, 0.750, 0.750], [0.750, 0.250, 0.250], [0.250, 0.750, 0.750], [0.250, 0.250, 0.750], [0.250, 0.250, 0.250], [0.250, 0.750, 0.250], [0.653, 0.807, 0.500], [0.000, 0.693, 0.153], [0.347, 0.807, 0.500], [0.500, 0.500, 0.500], [0.693, 0.847, 0.000], [0.847, 0.000, 0.307], [0.807, 0.500, 0.347], [0.307, 0.153, 0.000], [0.000, 0.307, 0.153], [0.000, 0.693, 0.847], [0.347, 0.193, 0.500], [0.193, 0.500, 0.653], [0.500, 0.347, 0.807], [0.847, 0.000, 0.693], [0.500, 0.653, 0.193], [0.653, 0.193, 0.500], [0.500, 0.347, 0.193], [0.193, 0.500, 0.347], [0.500, 0.653, 0.807], [0.693, 0.153, 0.000], [0.307, 0.847, 0.000], [0.153, 0.000, 0.307], [0.807, 0.500, 0.653], [0.000, 0.000, 0.000], [0.000, 0.307, 0.847], [0.153, 0.000, 0.693], [0.000, 0.750, 0.500], [0.250, 0.500, 0.000], [0.750, 0.500, 0.000], [0.500, 0.000, 0.250], [0.000, 0.250, 0.500], [0.500, 0.000, 0.750]]
}

---

2.
{
  "formula": "NdSiNi",
  "functional": "GGA-PBE",
  "state": "optimized geometry",
  "spacegroup": "I4_1md (109)",
  "volume_a3_per_atom": 19.5,
  "delta_e_f_mev_per_atom": -730.0,
  "lattice": [[-2.050, 2.050, 6.954], [2.050, -2.050, 6.954], [2.050, 2.050, -6.954]],
  "species": ["Ni", "Ni", "Nd", "Nd", "Si", "Si"],
  "frac_coords": [[0.918, 0.418, 0.500], [0.168, 0.168, 0.000], [0.330, 0.830, 0.500], [0.580, 0.580, 0.000], [0.999, 0.999, 0.000], [0.749, 0.249, 0.500]]
}

---

3.
{
  "formula": "MnSbPt",
  "functional": "GGA-PBE",
  "state": "optimized geometry",
  "spacegroup": "F-43m (216)",
  "total_magnetization_mub_per_fu": 3.32,
  "volume_a3_per_atom": 19.3,
  "delta_e_f_mev_per_atom": -97.9,
  "lattice": [[-3.783, -0.390, -2.098], [-3.387, 2.460, 1.156], [-1.368, 3.182, -2.621]],
  "species": ["Pt", "Mn", "Sb"],
  "frac_coords": [[0.500, 0.500, 0.500], [0.250, 0.250, 0.250], [0.000, 0.000, 0.000]]
}

---

4.
{
  "formula": "CaP3NO9",
  "functional": "GGA-PBE",
  "state": "optimized geometry",
  "spacegroup": "P2_1/c (14)",
  "total_magnetization_mub_per_fu": 2.00,
  "volume_a3_per_atom": 17.5,
  "delta_e_f_mev_per_atom": -2138.2,
  "lattice": [[-2.313, 8.308, -5.606], [3.715, -2.936, -5.884], [-6.914, -8.511, -9.762]],
  "species": ["P", "P", "P", "P", "P", "P", "P", "P", "P", "P", "P", "P", "O", "O", "O", "O", "O", "O", "O", "O", "O", "O", "O", "O", "O", "O", "O", "O", "O", "O", "O", "O", "O", "O", "O", "O", "O", "O", "O", "O", "O", "O", "O", "O", "O", "O", "O", "O", "Ca", "Ca", "Ca", "Ca", "N", "N", "N", "N"],
  "frac_coords": [[0.787, 0.261, 0.455], [0.750, 0.328, 0.132], [0.750, 0.328, 0.632], [0.750, 0.904, 0.663], [0.250, 0.096, 0.337], [0.250, 0.672, 0.368], [0.213, 0.739, 0.545], [0.750, 0.904, 0.163], [0.250, 0.672, 0.868], [0.287, 0.739, 0.045], [0.250, 0.096, 0.837], [0.713, 0.261, 0.955], [0.846, 0.755, 0.742], [0.646, 0.274, 0.426], [0.192, 0.617, 0.481], [0.692, 0.383, 0.019], [0.389, 0.672, 0.127], [0.646, 0.362, 0.193], [0.889, 0.328, 0.373], [0.781, 0.083, 0.189], [0.146, 0.638, 0.307], [0.878, 0.435, 0.120], [0.808, 0.383, 0.519], [0.308, 0.617, 0.981], [0.281, 0.917, 0.311], [0.146, 0.726, 0.074], [0.820, 0.027, 0.549], [0.680, 0.027, 0.049], [0.854, 0.362, 0.693], [0.123, 0.188, 0.842], [0.377, 0.188, 0.342], [0.622, 0.435, 0.620], [0.180, 0.973, 0.451], [0.346, 0.245, 0.758], [0.111, 0.672, 0.627], [0.122, 0.565, 0.880], [0.854, 0.274, 0.926], [0.320, 0.973, 0.951], [0.719, 0.083, 0.689], [0.654, 0.755, 0.242], [0.354, 0.638, 0.807], [0.354, 0.726, 0.574], [0.378, 0.565, 0.380], [0.219, 0.917, 0.811], [0.611, 0.328, 0.873], [0.877, 0.812, 0.158], [0.623, 0.812, 0.658], [0.154, 0.245, 0.258], [0.487, 0.525, 0.719], [0.013, 0.525, 0.219], [0.987, 0.475, 0.781], [0.513, 0.475, 0.281], [0.591, 0.858, 0.416], [0.091, 0.142, 0.084], [0.409, 0.142, 0.584], [0.909, 0.858, 0.916]]
}

---

5.
{
  "formula": "Rb3AuF6",
  "functional": "GGA-PBE",
  "state": "optimized geometry",
  "spacegroup": "P-1 (2)",
  "total_magnetization_mub_per_fu": 0.00,
  "volume_a3_per_atom": 35.5,
  "delta_e_f_mev_per_atom": -2292.5,
  "lattice": [[2.436, -2.958, -6.284], [-1.749, 7.923, -2.342], [6.689, -2.691, 1.471]],
  "species": ["F", "F", "F", "F", "F", "F", "Rb", "Rb", "Rb", "Au"],
  "frac_coords": [[0.956, 0.233, 0.017], [0.044, 0.767, 0.983], [0.216, 0.203, 0.332], [0.209, 0.926, 0.730], [0.791, 0.074, 0.270], [0.784, 0.797, 0.668], [0.000, 0.000, 0.500], [0.500, 0.000, 0.000], [0.000, 0.500, 0.500], [0.000, 0.000, 0.000]]
}

---

6.
{
  "formula": "H4W",
  "functional": "GGA-PBE",
  "state": "optimized geometry",
  "spacegroup": "P4/nmm (129)",
  "volume_a3_per_atom": 7.2,
  "delta_e_f_mev_per_atom": 137.8,
  "lattice": [[-0.984, 1.524, 2.498], [0.558, -2.490, 1.739], [7.067, 2.474, 1.274]],
  "species": ["H", "H", "H", "H", "H", "H", "H", "H", "W", "W"],
  "frac_coords": [[0.500, 0.000, 0.646], [0.000, 0.000, 0.734], [0.000, 0.500, 0.881], [0.000, 0.500, 0.354], [0.500, 0.500, 0.266], [0.500, 0.000, 0.119], [0.500, 0.500, 0.734], [0.000, 0.000, 0.266], [0.500, 0.000, 0.874], [0.000, 0.500, 0.126]]
}

---

7.
{
  "formula": "RbAlS2O20",
  "functional": "GGA-PBE",
  "state": "optimized geometry",
  "spacegroup": "Pa-3 (205)",
  "total_magnetization_mub_per_fu": 19.63,
  "volume_a3_per_atom": 15.3,
  "delta_e_f_mev_per_atom": -212.5,
  "lattice": [[11.358, 0.000, 0.000], [0.000, 11.358, 0.000], [0.000, 0.000, 11.358]],
  "species": ["O", "O", "O", "O", "O", "O", "O", "O", "O", "O", "O", "O", "O", "O", "O", "O", "O", "O", "O", "O", "O", "O", "O", "O", "O", "O", "O", "O", "O", "O", "O", "O", "O", "O", "O", "O", "O", "O", "O", "O", "O", "O", "O", "O", "O", "O", "O", "O", "O", "O", "O", "O", "O", "O", "O", "O", "O", "O", "O", "O", "O", "O", "O", "O", "O", "O", "O", "O", "O", "O", "O", "O", "O", "O", "O", "O", "O", "O", "O", "O", "S", "S", "S", "S", "S", "S", "S", "S", "Al", "Al", "Al", "Al", "Rb", "Rb", "Rb", "Rb"],
  "frac_coords": [[0.162, 0.489, 0.525], [0.925, 0.195, 0.745], [0.805, 0.255, 0.075], [0.219, 0.950, 0.657], [0.011, 0.025, 0.162], [0.281, 0.050, 0.157], [0.338, 0.511, 0.025], [0.695, 0.755, 0.075], [0.775, 0.775, 0.775], [0.255, 0.425, 0.305], [0.195, 0.745, 0.925], [0.950, 0.657, 0.219], [0.225, 0.225, 0.225], [0.575, 0.805, 0.245], [0.725, 0.225, 0.275], [0.755, 0.075, 0.695], [0.489, 0.525, 0.162], [0.255, 0.075, 0.805], [0.075, 0.805, 0.255], [0.050, 0.343, 0.781], [0.657, 0.281, 0.450], [0.338, 0.989, 0.525], [0.781, 0.450, 0.843], [0.305, 0.255, 0.425], [0.025, 0.162, 0.011], [0.550, 0.157, 0.219], [0.989, 0.525, 0.338], [0.950, 0.843, 0.719], [0.525, 0.162, 0.489], [0.450, 0.843, 0.781], [0.281, 0.450, 0.657], [0.450, 0.657, 0.281], [0.745, 0.575, 0.695], [0.343, 0.781, 0.050], [0.725, 0.275, 0.775], [0.425, 0.195, 0.755], [0.162, 0.011, 0.025], [0.157, 0.281, 0.050], [0.157, 0.219, 0.550], [0.050, 0.157, 0.281], [0.475, 0.662, 0.011], [0.843, 0.781, 0.450], [0.489, 0.975, 0.662], [0.275, 0.775, 0.725], [0.989, 0.975, 0.838], [0.075, 0.695, 0.755], [0.781, 0.050, 0.343], [0.695, 0.745, 0.575], [0.745, 0.925, 0.195], [0.843, 0.719, 0.950], [0.775, 0.725, 0.275], [0.925, 0.305, 0.245], [0.511, 0.475, 0.838], [0.025, 0.338, 0.511], [0.657, 0.219, 0.950], [0.550, 0.343, 0.719], [0.662, 0.011, 0.475], [0.343, 0.719, 0.550], [0.525, 0.338, 0.989], [0.838, 0.511, 0.475], [0.425, 0.305, 0.255], [0.838, 0.989, 0.975], [0.011, 0.475, 0.662], [0.245, 0.575, 0.805], [0.719, 0.950, 0.843], [0.975, 0.838, 0.989], [0.305, 0.245, 0.925], [0.195, 0.755, 0.425], [0.275, 0.725, 0.225], [0.805, 0.245, 0.575], [0.475, 0.838, 0.511], [0.755, 0.425, 0.195], [0.245, 0.925, 0.305], [0.975, 0.662, 0.489], [0.575, 0.695, 0.745], [0.511, 0.025, 0.338], [0.719, 0.550, 0.343], [0.219, 0.550, 0.157], [0.225, 0.275, 0.725], [0.662, 0.489, 0.975], [0.804, 0.304, 0.196], [0.304, 0.196, 0.804], [0.196, 0.804, 0.304], [0.304, 0.304, 0.304], [0.804, 0.196, 0.696], [0.696, 0.804, 0.196], [0.696, 0.696, 0.696], [0.196, 0.696, 0.804], [0.500, 0.000, 0.500], [0.500, 0.500, 0.000], [0.000, 0.500, 0.500], [0.000, 0.000, 0.000], [0.500, 0.000, 0.000], [0.500, 0.500, 0.500], [0.000, 0.500, 0.000], [0.000, 0.000, 0.500]]
}

---

8.
{
  "formula": "SrSi6Pd6",
  "functional": "GGA-PBE",
  "state": "optimized geometry",
  "spacegroup": "Ibam (72)",
  "volume_a3_per_atom": 16.1,
  "delta_e_f_mev_per_atom": -628.9,
  "lattice": [[5.987, -5.927, -0.888], [3.807, 2.119, 7.265], [-8.211, -2.033, -0.449]],
  "species": ["Pd", "Pd", "Pd", "Pd", "Pd", "Pd", "Pd", "Pd", "Pd", "Pd", "Pd", "Pd", "Sr", "Sr", "Si", "Si", "Si", "Si", "Si", "Si", "Si", "Si", "Si", "Si", "Si", "Si"],
  "frac_coords": [[0.321, 0.817, 0.778], [0.532, 0.680, 0.212], [0.679, 0.183, 0.222], [0.539, 0.317, 0.496], [0.179, 0.957, 0.496], [0.821, 0.043, 0.504], [0.468, 0.320, 0.788], [0.032, 0.820, 0.852], [0.968, 0.180, 0.148], [0.461, 0.683, 0.504], [0.961, 0.457, 0.778], [0.039, 0.543, 0.222], [0.250, 0.250, 0.000], [0.750, 0.750, 0.000], [0.039, 0.217, 0.492], [0.763, 0.936, 0.699], [0.275, 0.453, 0.492], [0.263, 0.564, 0.827], [0.237, 0.064, 0.301], [0.225, 0.717, 0.178], [0.737, 0.436, 0.173], [0.725, 0.547, 0.508], [0.775, 0.283, 0.822], [0.461, 0.953, 0.178], [0.539, 0.047, 0.822], [0.961, 0.783, 0.508]]
}